{"formula": "SmCrB4", "functional": "r2SCAN", "state": "optimized geometry", "lattice_angstrom": [[5.9832, 0.0000, 0.0000], [0.0000, 11.5668, 0.0000], [0.0000, 0.0000, 3.5107]], "species": ["Sm", "Sm", "Sm", "Sm", "Cr", "Cr", "Cr", "Cr", "B", "B", "B", "B", "B", "B", "B", "B", "B", "B", "B", "B", "B", "B", "B", "B"], "frac_coords": [[0.1240, 0.1507, 0.0000], [0.3760, 0.6507, 0.0000], [0.6240, 0.3493, 0.0000], [0.8760, 0.8493, 0.0000], [0.1191, 0.4223, 0.0000], [0.3809, 0.9223, 0.0000], [0.6191, 0.0777, 0.0000], [0.8809, 0.5777, 0.0000], [0.0244, 0.6896, 0.5000], [0.1120, 0.5460, 0.5000], [0.1402, 0.9672, 0.5000], [0.2234, 0.8178, 0.5000], [0.2766, 0.3178, 0.5000], [0.3598, 0.4672, 0.5000], [0.3880, 0.0460, 0.5000], [0.4756, 0.1896, 0.5000], [0.5244, 0.8104, 0.5000], [0.6120, 0.9540, 0.5000], [0.6402, 0.5328, 0.5000], [0.7234, 0.6822, 0.5000], [0.7766, 0.1822, 0.5000], [0.8598, 0.0328, 0.5000], [0.8880, 0.4540, 0.5000], [0.9756, 0.3104, 0.5000]], "final_energy_ev_per_atom": -12.943, "ef_ev_per_fu": -3.47, "mass_density_g_cm3": 6.71}